# Sr2Fe23O38, relaxed, DFT GGA+U
data_Sr2Fe23O38
_symmetry_space_group_name_H-M 'P 1'
_symmetry_Int_Tables_number 1
_cell_length_a 5.9868
_cell_length_b 5.9927
_cell_length_c 23.4347
_cell_angle_alpha 90.11
_cell_angle_beta 90.04
_cell_angle_gamma 119.96
loop_
_symmetry_equiv_pos_as_xyz
'x,y,z'
loop_
_atom_site_label
_atom_site_type_symbol
_atom_site_fract_x
_atom_site_fract_y
_atom_site_fract_z
_atom_site_occupancy
Sr1 Sr 0.0000 0.0000 0.0000 1
Sr2 Sr 0.3195 0.6542 0.4991 1
Fe1 Fe 0.0004 0.9943 0.5543 1
Fe2 Fe 0.0032 0.0000 0.4398 1
Fe3 Fe 0.0057 0.0019 0.7234 1
Fe4 Fe 0.0075 0.0029 0.2757 1
Fe5 Fe 0.0076 0.5024 0.6400 1
Fe6 Fe 0.0084 0.5040 0.3568 1
Fe7 Fe 0.3342 0.1659 0.8599 1
Fe8 Fe 0.3355 0.6668 0.9416 1
Fe9 Fe 0.3383 0.1679 0.1399 1
Fe10 Fe 0.3384 0.6680 0.0592 1
Fe11 Fe 0.3384 0.6684 0.7766 1
Fe12 Fe 0.3426 0.6707 0.2210 1
Fe13 Fe 0.5043 0.5019 0.6399 1
Fe14 Fe 0.5054 0.0012 0.6402 1
Fe15 Fe 0.5051 0.5036 0.3572 1
Fe16 Fe 0.5059 0.0022 0.3573 1
Fe17 Fe 0.6694 0.3337 0.0040 1
Fe18 Fe 0.6730 0.3360 0.7501 1
Fe19 Fe 0.6746 0.3366 0.2484 1
Fe20 Fe 0.8382 0.1655 0.8602 1
Fe21 Fe 0.8382 0.6704 0.8602 1
Fe22 Fe 0.8432 0.6736 0.1404 1
Fe23 Fe 0.8436 0.1675 0.1404 1
O1 O 0.0040 0.0008 0.8066 1
O2 O 0.0096 0.0036 0.1932 1
O3 O 0.0347 0.5158 0.0009 1
O4 O 0.1648 0.3224 0.9022 1
O5 O 0.1650 0.8405 0.9022 1
O6 O 0.1679 0.3237 0.0984 1
O7 O 0.1677 0.8415 0.0984 1
O8 O 0.1736 0.3380 0.5970 1
O9 O 0.1746 0.8344 0.5972 1
O10 O 0.1758 0.8338 0.3996 1
O11 O 0.1788 0.3486 0.3997 1
O12 O 0.2744 0.1382 0.4991 1
O13 O 0.3394 0.6692 0.6926 1
O14 O 0.3420 0.6718 0.3039 1
O15 O 0.3598 0.1793 0.6975 1
O16 O 0.3623 0.1809 0.3004 1
O17 O 0.4869 0.5163 0.0010 1
O18 O 0.4869 0.9686 0.0010 1
O19 O 0.5159 0.0231 0.8030 1
O20 O 0.5156 0.4911 0.8030 1
O21 O 0.5202 0.0258 0.1956 1
O22 O 0.5198 0.4923 0.1956 1
O23 O 0.6678 0.8339 0.4000 1
O24 O 0.6685 0.8335 0.5973 1
O25 O 0.6706 0.3344 0.9019 1
O26 O 0.6722 0.3345 0.6028 1
O27 O 0.6738 0.3371 0.3947 1
O28 O 0.6750 0.3362 0.0974 1
O29 O 0.6822 0.8403 0.9027 1
O30 O 0.6855 0.8415 0.0985 1
O31 O 0.8292 0.1795 0.6975 1
O32 O 0.8288 0.6479 0.6974 1
O33 O 0.8302 0.1803 0.3004 1
O34 O 0.8297 0.6490 0.3003 1
O35 O 0.8703 0.7221 0.5022 1
O36 O 0.8717 0.1396 0.5001 1
O37 O 0.9843 0.4911 0.8032 1
O38 O 0.9864 0.4921 0.1960 1
# - Energy of formation: -1671.1 meV per atom
# - Polymorph energy (0 for the lowest one): 0.01 kcal/mol of atoms
# - MP2020-corrected energy: -7.801 eV per atom
# - Theoretical density: 4.713 g cm⁻³